Entry 1:
A plane-wave DFT calculation with GGA-PBE was carried out for an optimized crystal structure of K5Hg7.

Cell and atoms, written as POSCAR:
```
K5Hg7
1.0
8.527 0.000 0.000
0.000 10.319 0.000
0.000 0.000 19.810
Hg K
28 20
Direct
0.433 0.630 0.857
0.935 0.804 0.972
0.069 0.320 0.881
0.067 0.370 0.357
0.069 0.680 0.381
0.565 0.196 0.472
0.500 0.874 0.250
0.433 0.370 0.357
0.569 0.320 0.619
0.067 0.630 0.857
0.431 0.680 0.381
0.567 0.630 0.643
0.935 0.196 0.472
0.065 0.804 0.528
0.000 0.874 0.250
0.435 0.804 0.528
0.431 0.320 0.881
0.931 0.680 0.119
0.933 0.370 0.143
0.933 0.630 0.643
0.565 0.804 0.972
0.567 0.370 0.143
0.065 0.196 0.028
0.435 0.196 0.028
0.569 0.680 0.119
0.931 0.320 0.619
0.500 0.126 0.750
0.000 0.126 0.750
0.250 0.815 0.709
0.750 0.106 0.912
0.250 0.521 0.017
0.750 0.994 0.609
0.750 0.006 0.109
0.250 0.479 0.517
0.250 0.106 0.588
0.750 0.815 0.791
0.750 0.573 0.272
0.750 0.521 0.483
0.750 0.427 0.772
0.250 0.894 0.088
0.250 0.573 0.228
0.250 0.427 0.728
0.250 0.185 0.209
0.750 0.185 0.291
0.750 0.479 0.983
0.250 0.006 0.391
0.250 0.994 0.891
0.750 0.894 0.412
```

---

Entry 2:
K3GeH2NO3 | the Materials Project | GGA-PBE | optimized geometry; total magnetization = 0.0 μB/f.u.
1.0
6.468 0.000 0.000
-0.190 6.775 0.000
-1.445 -0.840 7.103
K N O Ge H
6 2 6 2 4
Direct
0.717 0.523 0.870
0.762 0.091 0.029
0.654 0.199 0.483
0.346 0.801 0.517
0.283 0.477 0.130
0.238 0.909 0.971
0.160 0.257 0.423
0.840 0.743 0.577
0.566 0.850 0.237
0.996 0.220 0.792
0.277 0.555 0.761
0.004 0.780 0.208
0.723 0.445 0.239
0.434 0.150 0.763
0.786 0.702 0.303
0.214 0.298 0.697
0.114 0.110 0.375
0.886 0.890 0.625
0.968 0.664 0.631
0.032 0.336 0.369

---

Entry 3:
Sr8MgP4I4O16 | the Materials Project | GGA-PBE | optimized geometry; total magnetization = 0.0 μB/f.u.; energy above the lowest structure with this stoichiometry = 1.11 eV per formula unit
1.0
-6.037 6.352 -2.886
3.889 6.139 5.217
7.799 -0.303 -5.610
O I Sr P Mg
16 4 8 4 1
Direct
0.673 0.834 0.130
0.295 0.091 0.118
0.065 0.070 0.878
0.839 0.430 0.116
0.909 0.915 0.074
0.793 0.620 0.914
0.831 0.334 0.866
0.309 0.176 0.864
0.303 0.897 0.930
0.635 0.934 0.873
0.728 0.115 0.093
0.187 0.404 0.058
0.142 0.585 0.847
0.581 0.433 0.882
0.147 0.686 0.097
0.397 0.599 0.075
0.803 0.604 0.496
0.734 0.051 0.546
0.166 0.311 0.463
0.290 0.824 0.500
0.953 0.804 0.839
0.470 0.699 0.864
0.958 0.680 0.223
0.010 0.188 0.096
0.754 0.291 0.295
0.523 0.181 0.770
0.442 0.839 0.223
0.039 0.330 0.754
0.733 0.949 0.044
0.760 0.455 0.941
0.220 0.569 0.021
0.247 0.057 0.944
0.390 0.303 0.202

---

| no. | E (Ry per atom) | ΔH_f (0 K) (eV/atom) |
| --- | --- | --- |
| 1 | -0.0662 | -0.261 |
| 2 | -0.3695 | -1.442 |
| 3 | -0.4583 | -2.870 |